Material: NaCeP2O7
Method: DFT, GGA-PBE
State: relaxed

- E_form (kJ per mole of atoms) = -295.4
- magnetization (μB/atom) = 0.091
- SG = No. 62

Unit cell a=8.718 b=5.333 c=12.762 alpha=90.00 beta=90.00 gamma=90.00
Positions (direct):
Na  0.119  0.250  0.079
Na  0.381  0.750  0.579
Na  0.619  0.250  0.421
Na  0.881  0.750  0.921
Ce  0.187  0.250  0.764
Ce  0.313  0.750  0.264
Ce  0.687  0.250  0.736
Ce  0.813  0.750  0.236
P  0.013  0.250  0.318
P  0.237  0.750  0.966
P  0.263  0.250  0.466
P  0.487  0.750  0.818
P  0.513  0.250  0.182
P  0.737  0.750  0.534
P  0.763  0.250  0.034
P  0.987  0.750  0.682
O  0.069  0.007  0.264
O  0.069  0.493  0.264
O  0.081  0.250  0.436
O  0.161  0.750  0.676
O  0.163  0.513  0.921
O  0.163  0.987  0.921
O  0.236  0.750  0.086
O  0.264  0.250  0.586
O  0.337  0.013  0.421
O  0.337  0.487  0.421
O  0.339  0.250  0.176
O  0.419  0.750  0.936
O  0.431  0.507  0.764
O  0.431  0.993  0.764
O  0.569  0.007  0.236
O  0.569  0.493  0.236
O  0.581  0.250  0.064
O  0.661  0.750  0.824
O  0.663  0.513  0.579
O  0.663  0.987  0.579
O  0.736  0.750  0.414
O  0.764  0.250  0.914
O  0.837  0.013  0.079
O  0.837  0.487  0.079
O  0.839  0.250  0.324
O  0.919  0.750  0.564
O  0.931  0.507  0.736
O  0.931  0.993  0.736



Material: LiMg6Ga
Method: DFT, GGA-PBE
State: relaxed

- E_form (kJ per mole of atoms) = -5.0
- magnetization (μB/atom) = 0.000

Unit cell a=4.987 b=6.256 c=10.931 alpha=90.00 beta=90.00 gamma=90.00
Positions (direct):
Mg  0.500  0.249  0.416
Mg  0.000  0.749  0.085
Mg  0.500  0.251  0.916
Li  0.500  0.000  0.167
Mg  0.000  0.251  0.085
Mg  0.000  0.000  0.831
Mg  0.000  0.500  0.331
Ga  0.500  0.000  0.666
Mg  0.500  0.749  0.916
Ga  0.500  0.500  0.166
Mg  0.000  0.249  0.585
Li  0.500  0.500  0.667
Mg  0.000  0.500  0.832
Mg  0.500  0.751  0.416
Mg  0.000  0.000  0.332
Mg  0.000  0.751  0.585



Material: Nb3ZnAu
Method: DFT, GGA-PBE
State: relaxed

- E_form (kJ per mole of atoms) = -7.7
- magnetization (μB/atom) = 0.000
- SG = No. 198

Unit cell a=7.024 b=7.024 c=7.024 alpha=90.00 beta=90.00 gamma=90.00
Positions (direct):
Nb  0.049  0.123  0.793
Nb  0.123  0.793  0.049
Nb  0.207  0.549  0.377
Nb  0.293  0.451  0.877
Nb  0.377  0.207  0.549
Nb  0.451  0.877  0.293
Nb  0.549  0.377  0.207
Nb  0.623  0.707  0.951
Nb  0.707  0.951  0.623
Nb  0.793  0.049  0.123
Nb  0.877  0.293  0.451
Nb  0.951  0.623  0.707
Zn  0.062  0.938  0.438
Zn  0.438  0.062  0.938
Zn  0.562  0.562  0.562
Zn  0.938  0.438  0.062
Au  0.185  0.185  0.185
Au  0.315  0.815  0.685
Au  0.685  0.315  0.815
Au  0.815  0.685  0.315



Material: SmGeRh
Method: DFT, GGA-PBE
State: relaxed

- E_form (kJ per mole of atoms) = -88.3
- SG = No. 62

Unit cell a=7.058 b=4.443 c=7.564 alpha=90.00 beta=90.00 gamma=90.00
Positions (direct):
Sm  0.015  0.250  0.201
Sm  0.485  0.750  0.701
Sm  0.515  0.250  0.299
Sm  0.985  0.750  0.799
Ge  0.185  0.250  0.583
Ge  0.315  0.750  0.083
Ge  0.685  0.250  0.917
Ge  0.815  0.750  0.417
Rh  0.200  0.750  0.411
Rh  0.300  0.250  0.911
Rh  0.700  0.750  0.089
Rh  0.800  0.250  0.589



Material: Na2UTeO7
Method: DFT, GGA-PBE
State: relaxed

- E_form (kJ per mole of atoms) = -243.2
- magnetization (μB/atom) = 0.000
- SG = No. 40

Unit cell a=7.633 b=6.510 c=6.510 alpha=107.52 beta=90.00 gamma=90.00
Positions (direct):
Na  0.000  0.000  0.000
Na  0.250  0.974  0.510
Na  0.500  0.000  0.000
Na  0.750  0.510  0.974
U  0.250  0.490  0.017
U  0.750  0.017  0.490
Te  0.000  0.486  0.486
Te  0.500  0.486  0.486
O  0.014  0.180  0.440
O  0.049  0.545  0.789
O  0.250  0.188  0.895
O  0.250  0.531  0.423
O  0.250  0.790  0.136
O  0.451  0.545  0.789
O  0.486  0.180  0.440
O  0.514  0.440  0.180
O  0.549  0.789  0.545
O  0.750  0.136  0.790
O  0.750  0.423  0.531
O  0.750  0.895  0.188
O  0.951  0.789  0.545
O  0.986  0.440  0.180



Material: Ba3AlF9
Method: DFT, GGA-PBE
State: relaxed

- E_form (kJ per mole of atoms) = -394.8
- magnetization (μB/atom) = 0.000
- SG = No. 62

Unit cell a=20.094 b=5.676 c=15.407 alpha=90.00 beta=90.00 gamma=90.00
Positions (direct):
Ba  0.002  0.250  0.122
Ba  0.030  0.750  0.592
Ba  0.108  0.750  0.309
Ba  0.178  0.250  0.493
Ba  0.184  0.250  0.925
Ba  0.243  0.750  0.710
Ba  0.257  0.250  0.210
Ba  0.316  0.750  0.425
Ba  0.322  0.750  0.993
Ba  0.392  0.250  0.809
Ba  0.470  0.250  0.092
Ba  0.498  0.750  0.622
Ba  0.502  0.250  0.378
Ba  0.530  0.750  0.908
Ba  0.608  0.750  0.191
Ba  0.678  0.250  0.007
Ba  0.684  0.250  0.575
Ba  0.743  0.750  0.790
Ba  0.757  0.250  0.290
Ba  0.816  0.750  0.075
Ba  0.822  0.750  0.507
Ba  0.892  0.250  0.691
Ba  0.970  0.250  0.408
Ba  0.998  0.750  0.878
Al  0.112  0.250  0.722
Al  0.120  0.750  0.074
Al  0.380  0.250  0.574
Al  0.388  0.750  0.222
Al  0.612  0.250  0.778
Al  0.620  0.750  0.426
Al  0.880  0.250  0.926
Al  0.888  0.750  0.278
F  0.028  0.250  0.680
F  0.046  0.750  0.144
F  0.054  0.250  0.274
F  0.073  0.506  0.455
F  0.073  0.994  0.455
F  0.079  0.520  0.007
F  0.079  0.980  0.007
F  0.097  0.021  0.803
F  0.097  0.479  0.803
F  0.134  0.020  0.642
F  0.134  0.480  0.642
F  0.157  0.524  0.143
F  0.157  0.976  0.143
F  0.188  0.750  0.996
F  0.200  0.250  0.750
F  0.214  0.007  0.354
F  0.214  0.493  0.354
F  0.226  0.750  0.539
F  0.274  0.250  0.039
F  0.286  0.507  0.854
F  0.286  0.993  0.854
F  0.300  0.750  0.250
F  0.312  0.250  0.496
F  0.343  0.024  0.643
F  0.343  0.476  0.643
F  0.366  0.520  0.142
F  0.366  0.980  0.142
F  0.403  0.521  0.303
F  0.403  0.979  0.303
F  0.421  0.020  0.507
F  0.421  0.480  0.507
F  0.427  0.006  0.955
F  0.427  0.494  0.955
F  0.446  0.750  0.774
F  0.454  0.250  0.644
F  0.472  0.750  0.180
F  0.528  0.250  0.820
F  0.546  0.750  0.356
F  0.554  0.250  0.226
F  0.573  0.506  0.045
F  0.573  0.994  0.045
F  0.579  0.520  0.493
F  0.579  0.980  0.493
F  0.597  0.021  0.697
F  0.597  0.479  0.697
F  0.634  0.020  0.858
F  0.634  0.480  0.858
F  0.657  0.524  0.357
F  0.657  0.976  0.357
F  0.688  0.750  0.504
F  0.700  0.250  0.750
F  0.714  0.007  0.146
F  0.714  0.493  0.146
F  0.726  0.750  0.961
F  0.774  0.250  0.461
F  0.786  0.507  0.646
F  0.786  0.993  0.646
F  0.800  0.750  0.250
F  0.812  0.250  0.004
F  0.843  0.024  0.857
F  0.843  0.476  0.857
F  0.866  0.520  0.358
F  0.866  0.980  0.358
F  0.903  0.521  0.197
F  0.903  0.979  0.197
F  0.921  0.020  0.993
F  0.921  0.480  0.993
F  0.927  0.006  0.545
F  0.927  0.494  0.545
F  0.946  0.750  0.726
F  0.954  0.250  0.856
F  0.972  0.750  0.320



Material: Mg14NbCO16
Method: DFT, GGA-PBE
State: relaxed

- E_form (kJ per mole of atoms) = -251.4
- magnetization (μB/atom) = 0.073
- SG = No. 47

Unit cell a=4.296 b=8.549 c=8.592 alpha=90.00 beta=90.00 gamma=90.00
Positions (direct):
Mg  0.000  0.000  0.000
Mg  0.000  0.242  0.250
Mg  0.000  0.242  0.750
Mg  0.000  0.500  0.000
Mg  0.000  0.758  0.250
Mg  0.000  0.758  0.750
Mg  0.500  0.000  0.256
Mg  0.500  0.000  0.744
Mg  0.500  0.234  0.500
Mg  0.500  0.247  0.000
Mg  0.500  0.500  0.243
Mg  0.500  0.500  0.757
Mg  0.500  0.753  0.000
Mg  0.500  0.766  0.500
Nb  0.000  0.500  0.500
C  0.000  0.000  0.500
O  0.000  0.000  0.238
O  0.000  0.000  0.762
O  0.000  0.247  0.500
O  0.000  0.252  0.000
O  0.000  0.500  0.243
O  0.000  0.500  0.757
O  0.000  0.748  0.000
O  0.000  0.753  0.500
O  0.500  0.000  0.000
O  0.500  0.000  0.500
O  0.500  0.251  0.252
O  0.500  0.251  0.748
O  0.500  0.500  0.000
O  0.500  0.500  0.500
O  0.500  0.749  0.252
O  0.500  0.749  0.748



Material: Rb2NpO4
Method: DFT, GGA-PBE
State: relaxed

- E_form (kJ per mole of atoms) = -277.0
- SG = No. 139

Unit cell a=7.716 b=7.716 c=7.716 alpha=147.09 beta=147.09 gamma=47.24
Positions (direct):
Rb  0.151  0.151  0.000
Rb  0.849  0.849  0.000
Np  0.500  0.500  0.000
O  0.000  0.500  0.500
O  0.364  0.364  0.000
O  0.500  0.000  0.500
O  0.636  0.636  0.000



Material: Mg15Co
Method: DFT, GGA-PBE
State: relaxed

- E_form (kJ per mole of atoms) = 6.0
- magnetization (μB/atom) = 0.041
- SG = No. 187

Unit cell a=6.295 b=6.295 c=9.971 alpha=90.00 beta=90.00 gamma=120.00
Positions (direct):
Mg  0.000  0.000  0.000
Mg  0.004  0.502  0.000
Mg  0.160  0.319  0.265
Mg  0.160  0.319  0.735
Mg  0.160  0.840  0.265
Mg  0.160  0.840  0.735
Mg  0.498  0.502  0.000
Mg  0.498  0.996  0.000
Mg  0.502  0.005  0.500
Mg  0.502  0.498  0.500
Mg  0.667  0.333  0.246
Mg  0.667  0.333  0.754
Mg  0.681  0.840  0.265
Mg  0.681  0.840  0.735
Mg  0.995  0.498  0.500
Co  0.000  0.000  0.500



Material: Pr3Cd
Method: DFT, GGA-PBE
State: relaxed

- E_form (kJ per mole of atoms) = -9.9
- SG = No. 139

Unit cell a=6.211 b=6.211 c=6.211 alpha=132.90 beta=132.90 gamma=68.81
Positions (direct):
Pr  0.000  0.000  0.000
Pr  0.250  0.750  0.500
Pr  0.750  0.250  0.500
Cd  0.500  0.500  0.000



Material: Er2MgSe4
Method: DFT, GGA-PBE
State: relaxed

- E_form (kJ per mole of atoms) = -186.9
- magnetization (μB/atom) = 0.000
- SG = No. 62

Unit cell a=14.058 b=8.172 c=6.807 alpha=90.00 beta=90.00 gamma=90.00
Positions (direct):
Er  0.000  0.000  0.000
Er  0.000  0.500  0.000
Er  0.236  0.250  0.495
Er  0.264  0.750  0.995
Er  0.500  0.000  0.500
Er  0.500  0.500  0.500
Er  0.736  0.250  0.005
Er  0.764  0.750  0.505
Mg  0.092  0.750  0.583
Mg  0.408  0.250  0.083
Mg  0.592  0.750  0.917
Mg  0.908  0.250  0.417
Se  0.074  0.250  0.248
Se  0.092  0.750  0.211
Se  0.169  0.504  0.762
Se  0.169  0.996  0.762
Se  0.331  0.004  0.262
Se  0.331  0.496  0.262
Se  0.408  0.250  0.711
Se  0.426  0.750  0.748
Se  0.574  0.250  0.252
Se  0.592  0.750  0.289
Se  0.669  0.504  0.738
Se  0.669  0.996  0.738
Se  0.831  0.004  0.238
Se  0.831  0.496  0.238
Se  0.908  0.250  0.789
Se  0.926  0.750  0.752